a.
First-principles (PBE+U) data for an optimized crystal structure of Li2Al2FeO6, as listed in the Materials Project database.

extended XYZ file:
```
44
Lattice="-0.6054 2.1032 4.4966 -1.1568 -2.7596 3.9127 19.3168 -3.4391 2.0478" Properties=species:S:1:pos:R:3 pbc="T T T"
Al 4.4031 -1.5541 2.1689
Al 8.7799 -0.8369 6.0542
Al 13.7608 -2.2228 5.4414
Al -1.1669 -0.4073 5.5910
Al 13.1639 -2.4817 8.2634
Al 18.7319 -3.6472 4.8455
Al 8.7890 -3.2000 4.3784
Al 3.8082 -1.8142 4.9877
O 0.5688 -1.0381 1.5366
O 16.9357 -3.0466 8.9888
O 9.3804 -1.9732 7.5331
O 7.5848 -2.3577 5.7355
O 4.4768 -2.8791 6.3786
O 9.4612 -4.2662 5.7681
O 17.5711 -2.8523 6.1184
O 12.5681 -3.7420 5.1233
O 9.9153 -1.7080 4.7930
O 4.9288 -0.3203 5.4007
O 2.5846 -3.2020 4.6700
O 14.9005 -3.0940 4.1831
O 5.0013 -2.6891 3.6453
O 14.3652 -3.3614 6.9226
O 2.5973 -0.9730 6.3452
O 0.0214 -1.3032 4.2900
O 16.9934 -5.3208 7.2504
O 12.6068 -1.4550 6.7499
O -0.5782 -1.4522 7.0831
O 11.9444 -3.8709 7.9448
O 13.8364 -3.5473 9.6533
O 3.2397 -0.7883 3.4724
O 8.2274 -2.1732 2.8646
O 6.9614 -2.4853 8.5577
Li 5.9619 -1.5972 6.9958
Li 16.5175 -1.6748 4.6704
Li 15.9478 -4.3401 5.7312
Li 7.1656 -1.0322 1.3319
Li 2.1906 0.3223 1.8797
Li 1.5801 -2.2595 3.1184
Li 10.9471 -2.9806 6.3802
Li 11.5438 -0.3127 5.2209
Fe 13.1878 -4.8129 6.5743
Fe 9.3565 -0.6684 3.2718
Fe 3.2100 -2.0383 7.7928
Fe 17.5543 -4.0960 10.4555
```


b.
First-principles (PBE+U) data for an optimized crystal structure of Li2Al2FeO6, as listed in the Materials Project database.

extended XYZ file:
```
44
Lattice="-3.2708 -2.8025 4.9071 4.0592 1.4404 4.9070 -5.0510 8.7253 0.0098" Properties=species:S:1:pos:R:3 pbc="T T T"
Al 1.5640 2.9086 4.9103
Al -3.4852 8.7219 4.9175
Al -0.9617 7.2711 4.9145
Al -3.3638 2.9675 4.9111
Al -5.8891 7.3308 4.9160
Al -0.9592 4.3600 4.9125
Al -5.8876 4.4199 4.9135
Al -3.3617 0.0573 4.9085
O -1.7374 5.8149 5.8833
O -5.0031 5.8378 3.8954
O -2.4771 1.4757 3.8894
O -1.8148 8.7829 5.9363
O -0.0845 2.9612 3.9412
O -4.3455 7.3858 5.9800
O 0.7877 1.4524 5.8795
O -2.6105 7.3232 3.9458
O 0.7106 4.4206 5.9322
O -2.5471 4.2805 3.8490
O -2.4881 -1.3427 3.9371
O -3.4158 5.7796 8.7580
O -1.8196 3.0232 5.9749
O -0.9502 1.5224 1.0652
O -0.8908 1.4180 8.7545
O -4.1390 1.5125 5.8803
O -0.0751 5.7777 3.8937
O -1.6923 0.1177 5.9263
O -6.6651 5.8749 5.8854
O -4.2179 4.4797 5.9313
O -3.4757 5.8852 1.0701
O 2.4497 1.4151 3.8901
O -0.0214 -0.0818 3.8442
O -5.0129 3.0202 3.9428
Li -4.8969 5.9945 7.3690
Li -0.0416 0.0681 7.3617
Li -4.0285 4.4942 2.4595
Li -2.3716 1.6318 7.3642
Li -2.5671 4.4307 7.3667
Li -1.5029 0.1315 2.4548
Li -1.6991 2.9301 2.4571
Li -4.2245 7.2930 2.4620
Fe 1.5310 5.8024 4.9130
Fe -0.8706 1.4994 4.9095
Fe 4.0564 1.4395 4.9082
Fe -3.3959 5.8599 4.9130
```


Least stable of them? a.